FeP2O7 | PBE+U | optimized geometry

Cell lengths 5.1496, 6.7932, 8.3864 Å; angles 68.97, 88.41, 88.20 degrees
Closest atoms and distances in Å follow each position.
Space group P-1 (No. 2)
Inequivalent atoms, fractional coordinates:
1 Fe 0.2433 0.2126 0.2295 x2  6 O 1.99-2.03
2 P 0.2431 0.1102 0.6679 x2  4 O 1.52-1.60
3 P 0.2751 0.4545 0.8102 x2  4 O 1.52-1.61
4 O 0.0379 0.9473 0.2758 x2  1 P 1.53
5 O 0.0843 0.6399 0.7392 x2  1 P 1.52
6 O 0.1874 0.2915 0.9802 x2  1 P 1.53
7 O 0.2839 0.3422 0.6701 x2  2 P 1.60-1.61
8 O 0.2981 0.1306 0.4828 x2  1 P 1.53
9 O 0.4401 0.9592 0.7860 x2  1 P 1.52
10 O 0.4481 0.4727 0.1860 x2  1 P 1.53

Properties
Magnetic moment in μB per cell: 4.35
Distance to the lowest polymorph of the same formula in meV per atom: 132
Formation energy in meV/atom: -2130.5
Energy in eV for the cell shown: -136.345

=====

Fe5P3O13 | PBE+U | optimized geometry

Cell lengths 6.2358, 8.5343, 9.6392 Å; angles 94.89, 90.61, 90.02 degrees
Closest atoms and distances in Å follow each position.
Space group P-1 (No. 2)
Inequivalent atoms, fractional coordinates:
1 Fe 0.0051 0.3742 0.2273 x2  6 O 2.00-2.19
2 Fe 0.2465 0.0827 0.1203 x2  4 O 1.94-2.16
3 Fe 0.2499 0.2614 0.5596 x2  3 O 1.90-1.93
4 Fe 0.2529 0.3346 0.8982 x2  4 O 1.93-2.06
5 Fe 0.4833 0.3751 0.2308 x2  5 O 2.01-2.18
6 P 0.2479 0.6083 0.4802 x2  4 O 1.52-1.59
7 P 0.2480 0.6766 0.0870 x2  4 O 1.51-1.57
8 P 0.2555 0.9720 0.7634 x2  4 O 1.52-1.57
9 O 0.0447 0.6072 0.1533 x2  1 P 1.57
10 O 0.0490 0.8675 0.7706 x2  1 P 1.57
11 O 0.0517 0.7090 0.4551 x2  1 P 1.52
12 O 0.2422 0.4492 0.3818 x2  1 P 1.59
13 O 0.2430 0.3136 0.0961 x2  4 Fe 1.93-2.01
14 O 0.2445 0.8543 0.1096 x2  1 P 1.51
15 O 0.2475 0.5548 0.6343 x2  1 P 1.59
16 O 0.2523 0.6171 0.9281 x2  1 P 1.57
17 O 0.2571 0.0562 0.6303 x2  1 P 1.52
18 O 0.2577 0.0934 0.8946 x2  1 P 1.57
19 O 0.4522 0.6086 0.1569 x2  1 P 1.57
20 O 0.4523 0.6995 0.4599 x2  1 P 1.52
21 O 0.4604 0.8656 0.7725 x2  1 P 1.57

Properties
Magnetic moment in μB per cell: 42.00
Distance to the lowest polymorph of the same formula in meV per atom: 29
Formation energy in meV/atom: -2168.2
Energy in eV for the cell shown: -296.471

=====

Fe7P4O20 | PBE+U | optimized geometry

Cell lengths 7.3692, 15.2137, 7.4073 Å; angles 90.00, 118.06, 90.00 degrees
Closest atoms and distances in Å follow each position.
Space group P2_1/c (No. 14)
Inequivalent atoms, fractional coordinates:
1 Fe 0.0000 0.0000 0.0000 x2  6 O 1.96-2.11
2 Fe 0.2193 0.1130 0.7290 x4  3 O 1.93-1.95
3 Fe 0.2606 0.6268 0.7528 x4  6 O 1.98-2.11
4 Fe 0.4884 0.2488 0.9855 x4  6 O 2.05-2.14
5 P 0.0058 0.6894 0.2472 x4  4 O 1.51-1.56
6 P 0.4983 0.0626 0.2425 x4  4 O 1.51-1.56
7 O 0.0034 0.5720 0.7218 x4  3 Fe 1.94-1.98
8 O 0.0456 0.1347 0.4415 x4  1 P 1.51
9 O 0.0687 0.6269 0.4328 x4  1 P 1.55
10 O 0.1785 0.2502 0.2895 x4  1 P 1.56
11 O 0.1970 0.7501 0.3081 x4  1 P 1.56
12 O 0.3085 0.0036 0.1997 x4  1 P 1.56
13 O 0.3200 0.5040 0.2158 x4  1 P 1.51
14 O 0.4329 0.1239 0.0539 x4  1 P 1.56
15 O 0.4489 0.6231 0.0688 x4  1 P 1.56
16 O 0.4903 0.1848 0.7413 x4  4 Fe 2.02-2.24

Properties
Magnetic moment in μB per cell: 68.00
Distance to the lowest polymorph of the same formula in meV per atom: 15
Formation energy in meV/atom: -2142.0
Energy in eV for the cell shown: -433.546

=====

FePO4 | PBE+U | optimized geometry

Cell lengths 18.0367, 10.2974, 17.1723 Å; angles 90.00, 98.94, 90.00 degrees
Closest atoms and distances in Å follow each position.
Space group Cc (No. 9)
Inequivalent atoms, fractional coordinates:
1 Fe 0.0000 0.0600 0.5000 x4  4 O 1.88-1.90
2 Fe 0.0280 0.4080 0.9984 x4  4 O 1.87-1.89
3 Fe 0.0933 0.4070 0.7496 x4  4 O 1.88-1.89
4 Fe 0.1185 0.0645 0.2464 x4  4 O 1.88-1.89
5 Fe 0.2481 0.3129 0.4987 x4  4 O 1.88-1.90
6 Fe 0.2791 0.1602 0.9988 x4  4 O 1.88-1.89
7 Fe 0.3412 0.3416 0.2492 x4  4 O 1.88-1.89
8 Fe 0.3702 0.1846 0.7471 x4  4 O 1.88-1.89
9 P 0.0277 0.3167 0.1831 x4  4 O 1.54-1.55
10 P 0.1560 0.0601 0.4350 x4  4 O 1.55
11 P 0.1830 0.4100 0.9335 x4  4 O 1.54-1.55
12 P 0.2488 0.4043 0.6842 x4  4 O 1.55
13 P 0.2769 0.0663 0.1836 x4  4 O 1.54-1.55
14 P 0.4046 0.3102 0.4359 x4  4 O 1.55
15 P 0.4361 0.1610 0.9335 x4  4 O 1.54-1.55
16 P 0.4982 0.3446 0.1849 x4  4 O 1.55
17 O 0.0069 0.4232 0.4575 x4  1 P 1.55
18 O 0.0096 0.3829 0.1018 x4  1 P 1.54
19 O 0.0118 0.2996 0.7079 x4  1 P 1.55
20 O 0.0195 0.1278 0.6027 x4  1 P 1.55
21 O 0.0472 0.0693 0.7467 x4  1 P 1.55
22 O 0.0611 0.4187 0.2451 x4  1 P 1.55
23 O 0.0843 0.2049 0.1794 x4  1 P 1.55
24 O 0.0857 0.0032 0.9604 x4  1 P 1.55
25 O 0.1321 0.3893 0.9976 x4  1 P 1.55
26 O 0.1382 0.1210 0.3519 x4  1 P 1.55
27 O 0.1387 0.3688 0.8531 x4  1 P 1.54
28 O 0.1649 0.3716 0.6828 x4  1 P 1.55
29 O 0.1830 0.1694 0.4948 x4  1 P 1.55
30 O 0.2040 0.0073 0.2054 x4  1 P 1.55
31 O 0.2071 0.4462 0.4292 x4  1 P 1.55
32 O 0.2173 0.0442 0.9331 x4  1 P 1.55
33 O 0.2542 0.3260 0.9552 x4  1 P 1.55
34 O 0.2615 0.1347 0.1026 x4  1 P 1.55
35 O 0.2610 0.4514 0.2077 x4  1 P 1.55
36 O 0.2698 0.3795 0.6016 x4  1 P 1.55
37 O 0.2989 0.3190 0.7455 x4  1 P 1.55
38 O 0.3089 0.1674 0.2468 x4  1 P 1.55
39 O 0.3336 0.0452 0.6803 x4  1 P 1.54
40 O 0.3349 0.2466 0.4628 x4  1 P 1.55
41 O 0.3822 0.1376 0.9943 x4  1 P 1.55
42 O 0.3834 0.3752 0.3544 x4  1 P 1.55
43 O 0.3963 0.1221 0.8506 x4  1 P 1.54
44 O 0.4140 0.3747 0.1834 x4  1 P 1.55
45 O 0.4345 0.4168 0.4965 x4  1 P 1.55
46 O 0.4556 0.2425 0.7068 x4  1 P 1.55
47 O 0.4595 0.3054 0.9318 x4  1 P 1.55
48 O 0.4652 0.2055 0.4309 x4  1 P 1.55

Properties
Magnetic moment in μB per cell: 160.07
Formation energy in meV/atom: -2324.2
Energy in eV for the cell shown: -1363.730

=====

formation energy of number 2 (Fe5P3O13)? -2168.2 meV/atom

=====

Which formula does entry 4 have? FePO4

=====

Which value of energy does entry 3 give? -433.546 eV for the cell shown

=====

Among the records above, which one has the highest energy? FeP2O7